First-principles (PBE with a Hubbard U) data for a geometry-optimized FeCoO4 structure, as listed in Materials Project.

a = 5.469 Å, b = 4.338 Å, c = 4.890 Å
α = 87.33°, β = 90.00°, γ = 90.00°
Fractional positions:
Fe1 0.155 0.000 0.750
Fe2 0.845 0.000 0.250
Co1 0.639 0.500 0.750
Co2 0.361 0.500 0.250
O1 0.876 0.244 0.910
O2 0.392 0.275 0.930
O3 0.392 0.725 0.570
O4 0.876 0.756 0.590
O5 0.124 0.244 0.410
O6 0.608 0.275 0.430
O7 0.608 0.725 0.070
O8 0.124 0.756 0.090

ρ = 5.12 Mg/m³
calculated volume = 9.66 Å³ per atom
MP2020-corrected energy = -7.02 eV/atom
energy = -70.99 eV/cell

First-principles (PBE with a Hubbard U) data for a geometry-optimized Fe2CoO4 structure, as listed in Materials Project.

a = 5.977 Å, b = 5.977 Å, c = 14.645 Å
α = 90.00°, β = 90.00°, γ = 60.26°
Fractional positions:
Fe1 0.829 0.505 0.790
Fe2 0.333 0.501 0.668
Fe3 0.500 0.163 0.456
Fe4 0.332 0.001 0.667
Fe5 0.499 0.667 0.332
Fe6 0.170 0.832 0.123
Fe7 0.999 0.668 0.333
Fe8 0.837 0.500 0.544
Fe9 0.668 0.834 0.999
Fe10 0.495 0.171 0.210
Fe11 0.166 0.332 0.001
Fe12 0.168 0.830 0.877
Co1 0.503 0.167 0.835
Co2 0.164 0.836 0.500
Co3 0.998 0.168 0.333
Co4 0.832 0.002 0.667
Co5 0.833 0.497 0.165
Co6 0.668 0.332 0.000
O1 0.657 0.332 0.747
O2 0.645 0.853 0.745
O3 0.488 0.169 0.590
O4 0.184 0.319 0.744
O5 0.481 0.682 0.590
O6 0.330 0.987 0.414
O7 0.180 0.829 0.744
O8 0.020 0.151 0.589
O9 0.318 0.519 0.410
O10 0.171 0.820 0.256
O11 0.013 0.670 0.586
O12 0.849 0.980 0.411
O13 0.147 0.355 0.255
O14 0.995 0.660 0.077
O15 0.681 0.816 0.256
O16 0.831 0.512 0.410
O17 0.002 0.177 0.080
O18 0.833 0.499 0.924
O19 0.668 0.343 0.253
O20 0.516 0.667 0.080
O21 0.823 0.998 0.920
O22 0.501 0.167 0.076
O23 0.333 0.484 0.920
O24 0.340 0.005 0.923

ρ = 5.15 Mg/m³
calculated volume = 10.82 Å³ per atom
MP2020-corrected energy = -7.78 eV/atom
energy = -273.24 eV/cell
ΔE to the lowest computed polymorph = 1.43 kcal/mol of atoms

First-principles (PBE with a Hubbard U) data for a geometry-optimized FeCoP2O8 structure, as listed in Materials Project.

a = 5.848 Å, b = 4.822 Å, c = 9.904 Å
α = 89.48°, β = 90.00°, γ = 90.00°
Fractional positions:
Fe1 0.750 0.463 0.775
Fe2 0.250 0.537 0.225
Co1 0.250 0.939 0.718
Co2 0.750 0.061 0.282
P1 0.250 0.411 0.899
P2 0.750 0.924 0.592
P3 0.250 0.076 0.408
P4 0.750 0.589 0.101
O1 0.750 0.651 0.949
O2 0.250 0.731 0.882
O3 0.044 0.268 0.826
O4 0.456 0.268 0.826
O5 0.953 0.773 0.671
O6 0.547 0.773 0.671
O7 0.750 0.235 0.611
O8 0.250 0.161 0.557
O9 0.750 0.839 0.443
O10 0.250 0.765 0.389
O11 0.047 0.227 0.329
O12 0.453 0.227 0.329
O13 0.544 0.732 0.174
O14 0.956 0.732 0.174
O15 0.750 0.269 0.118
O16 0.250 0.349 0.051

ρ = 3.62 Mg/m³
calculated volume = 11.64 Å³ per atom
MP2020-corrected energy = -7.67 eV/atom
energy = -165.22 eV/cell
ΔE to the lowest computed polymorph = 0.00 kcal/mol of atoms

| no. | formation energy (eV/atom) |
| --- | --- |
| 1 | -1.13 |
| 2 | -1.51 |
| 3 | -2.17 |